[1]
A plane-wave DFT calculation with GGA+U was carried out for a relaxed structure of LiV3Co2O12.

Output
For the volume, the calculation gives 231 Å³/f.u. The energy with MP2020 corrections comes out at -7.54 eV/atom. As for the space group: No. 14.

abc: 8.8761 8.5897 14.8112
angles: 54.85 90.00 90.00
Sites, in units of the cell vectors:
1 V 0.7494 0.5377 0.4916
2 O 0.5244 0.4724 0.7667
3 O 0.3143 0.7282 0.6496
4 V 0.8845 0.2593 0.3556
5 V 0.3847 0.0283 0.3613
6 O 0.2935 0.0081 0.8184
7 O 0.3339 0.2364 0.0774
8 O 0.1105 0.1794 0.9022
9 O 0.1661 0.2364 0.5774
10 O 0.5115 0.1081 0.2534
11 Co 0.0252 0.6340 0.1137
12 V 0.2494 0.4623 0.0084
13 O 0.4220 0.8990 0.1818
14 O 0.3815 0.6410 0.9386
15 O 0.1185 0.6410 0.4386
16 Co 0.5252 0.3660 0.3863
17 O 0.3406 0.4660 0.6121
18 Co 0.0278 0.8722 0.3795
19 O 0.8707 0.5158 0.0907
20 O 0.2065 0.0081 0.3184
21 V 0.7506 0.5377 0.9916
22 Co 0.4748 0.6340 0.6137
23 O 0.6594 0.5340 0.3879
24 V 0.6153 0.9717 0.6387
25 O 0.6857 0.2718 0.3504
26 O 0.5623 0.1538 0.9903
27 O 0.6185 0.3590 0.0614
28 O 0.4885 0.8919 0.7466
29 V 0.6155 0.2593 0.8556
30 O 0.4756 0.5276 0.2333
31 O 0.8895 0.8206 0.0978
32 O 0.6105 0.8206 0.5978
33 O 0.0244 0.5276 0.7333
34 O 0.9431 0.2017 0.0366
35 Li 0.7166 0.0043 0.3149
36 O 0.0569 0.7983 0.9634
37 Li 0.2166 0.9957 0.1851
38 Li 0.2834 0.9957 0.6851
39 O 0.4431 0.7983 0.4634
40 O 0.3707 0.4842 0.4093
41 V 0.3845 0.7407 0.1444
42 V 0.1153 0.0283 0.8613
43 O 0.7065 0.9919 0.1816
44 Co 0.5278 0.1278 0.1205
45 O 0.8815 0.3590 0.5614
46 O 0.1594 0.4660 0.1121
47 O 0.9220 0.1010 0.3182
48 O 0.9377 0.1538 0.4903
49 O 0.4377 0.8462 0.0097
50 O 0.1857 0.7282 0.1496
51 Co 0.9748 0.3660 0.8863
52 O 0.8339 0.7636 0.4226
53 O 0.0623 0.8462 0.5097
54 O 0.0780 0.8990 0.6818
55 V 0.8847 0.9717 0.1387
56 V 0.2506 0.4623 0.5084
57 O 0.6293 0.5158 0.5907
58 V 0.1155 0.7407 0.6444
59 O 0.3895 0.1794 0.4022
60 O 0.6661 0.7636 0.9226
61 O 0.7935 0.9919 0.6816
62 O 0.9885 0.1081 0.7534
63 O 0.8406 0.5340 0.8879
64 O 0.9756 0.4724 0.2667
65 O 0.1293 0.4842 0.9093
66 Li 0.7834 0.0043 0.8149
67 O 0.5569 0.2017 0.5366
68 O 0.8143 0.2718 0.8504
69 Co 0.9722 0.1278 0.6205
70 O 0.0115 0.8919 0.2466
71 O 0.5780 0.1010 0.8182
72 Co 0.4722 0.8722 0.8795

[2]
A plane-wave DFT calculation with GGA+U was carried out for a relaxed structure of KFeMo2O8.

Output
For the volume, the calculation gives 213 Å³/f.u. The energy with MP2020 corrections comes out at -7.91 eV/atom.

abc: 5.7769 9.3644 9.3673
angles: 76.14 107.97 72.06
Sites, in units of the cell vectors:
1 O 0.3219 0.2512 0.4122
2 O 0.8391 0.9927 0.6708
3 O 0.3332 0.1790 0.8457
4 Mo 0.3333 0.7976 0.4644
5 Fe 0.0000 0.2500 0.2499
6 O 0.6780 0.2488 0.0878
7 O 0.8391 0.4926 0.1708
8 O 0.6667 0.3210 0.6543
9 O 0.8392 0.7512 0.9122
10 O 0.6667 0.8210 0.1542
11 Fe 0.0002 0.7500 0.7501
12 Mo 0.6668 0.7024 0.0356
13 Mo 0.6667 0.2023 0.5356
14 O 0.1609 0.5073 0.8292
15 Mo 0.3332 0.2977 0.9644
16 K 0.0000 0.0001 0.9999
17 O 0.8392 0.2512 0.4122
18 O 0.3333 0.6790 0.3458
19 O 0.1608 0.2488 0.0878
20 O 0.1608 0.7488 0.5878
21 O 0.3220 0.7512 0.9123
22 O 0.1609 0.0074 0.3292
23 K 0.9999 0.4999 0.5000
24 O 0.6780 0.7488 0.5878

[3]
A plane-wave DFT calculation with GGA+U was carried out for a relaxed structure of Rb2Mo3SO13.

Output
For the volume, the calculation gives 335 Å³/f.u. The energy with MP2020 corrections comes out at -7.48 eV/atom. As for the space group: No. 14.

abc: 13.6832 9.6037 11.6194
angles: 61.45 90.00 90.00
Sites, in units of the cell vectors:
1 O 0.9496 0.9718 0.3702
2 O 0.0455 0.3466 0.3027
3 O 0.9545 0.6534 0.6973
4 Mo 0.4844 0.1931 0.4752
5 O 0.0356 0.3300 0.7842
6 O 0.8132 0.8313 0.2842
7 Rb 0.6946 0.5321 0.4493
8 O 0.0359 0.0129 0.8911
9 Mo 0.5156 0.8069 0.5248
10 O 0.2318 0.7820 0.7629
11 Rb 0.3054 0.4679 0.5507
12 O 0.1388 0.1750 0.0160
13 O 0.6868 0.8313 0.7842
14 O 0.9641 0.9871 0.1089
15 O 0.9589 0.6387 0.4520
16 O 0.0249 0.6747 0.9740
17 O 0.4545 0.3466 0.8027
18 Mo 0.4929 0.5412 0.1338
19 O 0.1016 0.8432 0.2951
20 Mo 0.0071 0.5412 0.6338
21 Mo 0.0614 0.1497 0.7008
22 Mo 0.9386 0.8503 0.2992
23 O 0.3984 0.8432 0.7951
24 Rb 0.3141 0.9788 0.9574
25 O 0.4751 0.6747 0.4740
26 O 0.4589 0.3613 0.0480
27 O 0.5504 0.9718 0.8702
28 Rb 0.8054 0.5321 0.9493
29 O 0.5249 0.3253 0.5260
30 O 0.8731 0.3898 0.3978
31 O 0.9644 0.6700 0.2158
32 O 0.0504 0.0282 0.6298
33 S 0.3338 0.7502 0.7506
34 O 0.6439 0.4230 0.1644
35 O 0.8984 0.1568 0.7049
36 O 0.7682 0.2180 0.2371
37 Mo 0.9929 0.4588 0.3662
38 O 0.3612 0.1750 0.5160
39 Mo 0.5614 0.8503 0.7992
40 O 0.8561 0.4230 0.6644
41 O 0.8594 0.2031 0.8895
42 O 0.5411 0.6387 0.9520
43 O 0.6406 0.2031 0.3895
44 O 0.6016 0.1568 0.2049
45 O 0.5455 0.6534 0.1973
46 O 0.5359 0.9871 0.6089
47 Rb 0.1946 0.4679 0.0507
48 O 0.4644 0.3300 0.2842
49 S 0.8338 0.2498 0.7494
50 O 0.3594 0.7969 0.6105
51 O 0.8612 0.8250 0.9840
52 Rb 0.6859 0.0212 0.0426
53 O 0.1439 0.5770 0.3356
54 O 0.3731 0.6102 0.1022
55 S 0.1662 0.7502 0.2506
56 Rb 0.8141 0.0212 0.5426
57 O 0.3561 0.5770 0.8356
58 O 0.1269 0.6102 0.6022
59 O 0.0411 0.3613 0.5480
60 O 0.7318 0.2180 0.7371
61 O 0.6388 0.8250 0.4840
62 O 0.4641 0.0129 0.3911
63 O 0.2682 0.7820 0.2629
64 O 0.3132 0.1687 0.2158
65 O 0.5356 0.6700 0.7158
66 O 0.1868 0.1687 0.7158
67 S 0.6662 0.2498 0.2494
68 O 0.6269 0.3898 0.8978
69 O 0.9751 0.3253 0.0260
70 Mo 0.4386 0.1497 0.2008
71 Mo 0.9844 0.8069 0.0248
72 Mo 0.0156 0.1931 0.9752
73 Rb 0.1859 0.9788 0.4574
74 O 0.4496 0.0282 0.1298
75 O 0.1406 0.7969 0.1105
76 Mo 0.5071 0.4588 0.8662

[4]
A plane-wave DFT calculation with GGA+U was carried out for a relaxed structure of VF5.

Output
For the volume, the calculation gives 91 Å³/f.u. The energy with MP2020 corrections comes out at -5.90 eV/atom. As for the space group: No. 14.

abc: 7.4996 6.5678 14.8973
angles: 84.10 90.00 90.00
Sites, in units of the cell vectors:
1 F 0.4899 0.9989 0.3908
2 F 0.3342 0.6779 0.2322
3 V 0.3734 0.4991 0.1538
4 F 0.1178 0.3876 0.3521
5 V 0.1873 0.1704 0.8762
6 V 0.3127 0.1704 0.3762
7 F 0.1658 0.6779 0.7322
8 F 0.1806 0.6601 0.5574
9 F 0.1940 0.0434 0.2961
10 F 0.0256 0.2984 0.6020
11 F 0.8060 0.9566 0.7039
12 F 0.8342 0.3221 0.2678
13 F 0.8194 0.3399 0.4426
14 F 0.5899 0.6405 0.5626
15 F 0.3822 0.3876 0.8521
16 F 0.9899 0.0011 0.1092
17 F 0.4305 0.3151 0.2701
18 F 0.8364 0.6156 0.8396
19 F 0.3060 0.0434 0.7961
20 F 0.6178 0.6124 0.1479
21 F 0.6940 0.9566 0.2039
22 F 0.5256 0.7016 0.8980
23 F 0.3364 0.3844 0.6604
24 F 0.8822 0.6124 0.6479
25 F 0.4101 0.3595 0.4374
26 F 0.1636 0.3844 0.1604
27 F 0.9744 0.7016 0.3980
28 F 0.0101 0.9989 0.8908
29 F 0.8144 0.9358 0.5328
30 F 0.6806 0.3399 0.9426
31 F 0.5695 0.6849 0.7299
32 F 0.3144 0.0642 0.9672
33 F 0.0695 0.3151 0.7701
34 F 0.6856 0.9358 0.0328
35 V 0.6873 0.8296 0.6238
36 V 0.6266 0.5009 0.8462
37 V 0.8734 0.5009 0.3462
38 F 0.5101 0.0011 0.6092
39 F 0.0899 0.3595 0.9374
40 F 0.3194 0.6601 0.0574
41 F 0.9305 0.6849 0.2299
42 F 0.9101 0.6405 0.0626
43 V 0.1266 0.4991 0.6538
44 F 0.6636 0.6156 0.3396
45 V 0.8127 0.8296 0.1238
46 F 0.4744 0.2984 0.1020
47 F 0.6658 0.3221 0.7678
48 F 0.1856 0.0642 0.4672

[5]
A plane-wave DFT calculation with GGA+U was carried out for a relaxed structure of K2V3P4H4O19.

Output
For the volume, the calculation gives 403 Å³/f.u. The energy with MP2020 corrections comes out at -7.36 eV/atom. As for the space group: No. 2.

abc: 8.7317 9.3099 10.7908
angles: 89.96 113.32 90.33
Sites, in units of the cell vectors:
1 V 0.8841 0.7502 0.2134
2 O 0.2243 0.1152 0.2321
3 O 0.9406 0.6052 0.6670
4 O 0.7713 0.5898 0.8054
5 P 0.8010 0.0477 0.7627
6 O 0.7247 0.5900 0.1933
7 O 0.2177 0.5884 0.6200
8 H 0.9604 0.4186 0.3539
9 O 0.2505 0.2332 0.9980
10 H 0.6248 0.0676 0.8549
11 V 0.3564 0.2464 0.1657
12 P 0.1465 0.5026 0.2666
13 O 0.0123 0.7368 0.3813
14 K 0.7480 0.8214 0.5017
15 O 0.9895 0.0812 0.8222
16 O 0.9806 0.3988 0.8386
17 H 0.3752 0.9324 0.1451
18 O 0.7837 0.1045 0.3836
19 O 0.4812 0.6030 0.8392
20 O 0.2762 0.8729 0.1441
21 O 0.4437 0.3955 0.6682
22 H 0.4557 0.5787 0.3518
23 P 0.3561 0.5035 0.7330
24 P 0.8535 0.4974 0.7334
25 O 0.7207 0.8873 0.2336
26 V 0.6436 0.7536 0.8343
27 K 0.2520 0.1786 0.4983
28 O 0.0594 0.3948 0.3330
29 O 0.4814 0.7383 0.6102
30 O 0.5186 0.2617 0.3898
31 H 0.5443 0.4213 0.6482
32 O 0.7823 0.4116 0.3800
33 O 0.2852 0.5903 0.3776
34 O 0.2163 0.8955 0.6164
35 O 0.2793 0.1127 0.7664
36 O 0.2836 0.9015 0.3842
37 O 0.4909 0.9187 0.8223
38 H 0.0396 0.5814 0.6461
39 O 0.2753 0.4100 0.8067
40 H 0.8693 0.0714 0.1392
41 O 0.5563 0.6045 0.3318
42 O 0.0105 0.9188 0.1778
43 O 0.7238 0.1271 0.8559
44 V 0.2760 0.7441 0.5100
45 P 0.3026 0.9498 0.7626
46 V 0.1159 0.2498 0.7866
47 O 0.7747 0.1283 0.1430
48 K 0.7490 0.3891 0.0000
49 O 0.2253 0.8717 0.8570
50 K 0.2510 0.6109 0.0000
51 O 0.0194 0.6012 0.1614
52 O 0.7148 0.4097 0.6224
53 P 0.6974 0.0502 0.2374
54 H 0.1307 0.9286 0.8608
55 O 0.9877 0.2632 0.6187
56 O 0.7757 0.8848 0.7679
57 O 0.7495 0.7668 0.0020
58 O 0.7164 0.0985 0.6158
59 O 0.5188 0.3970 0.1608
60 V 0.7240 0.2559 0.4900
61 O 0.5091 0.0813 0.1777
62 P 0.6439 0.4965 0.2670
63 P 0.1990 0.9523 0.2373
64 O 0.2287 0.4102 0.1946

[6]
A plane-wave DFT calculation with GGA+U was carried out for a relaxed structure of Li4V3Fe2O10.

Output
For the volume, the calculation gives 190 Å³/f.u. The calculation puts the excess energy over the best structure of this formula in the dataset at 0 meV/atom. The energy with MP2020 corrections comes out at -7.55 eV/atom. As for the space group: No. 1.

abc: 5.1537 5.1994 7.9421
angles: 108.99 101.14 100.86
Sites, in units of the cell vectors:
1 Li 0.6124 0.7209 0.2276
2 Fe 0.0957 0.6904 0.6835
3 V 0.3034 0.1097 0.1067
4 O 0.3367 0.7280 0.9492
5 O 0.9310 0.8956 0.1290
6 Fe 0.8968 0.3086 0.3123
7 O 0.2329 0.4830 0.2261
8 O 0.1268 0.3150 0.5357
9 O 0.6771 0.2762 0.0539
10 Li 0.2219 0.9386 0.4275
11 V 0.6856 0.8866 0.8854
12 Li 0.4998 0.4817 0.5062
13 Li 0.7999 0.0928 0.5908
14 O 0.7810 0.5293 0.7700
15 O 0.4710 0.8796 0.6746
16 V 0.9984 0.4960 0.9964
17 O 0.5413 0.1079 0.3344
18 O 0.0289 0.0811 0.8588
19 O 0.8707 0.6965 0.4561

[7]
A plane-wave DFT calculation with GGA+U was carried out for a relaxed structure of Li4V3P8O29.

Output
For the volume, the calculation gives 601 Å³/f.u. The calculation puts the excess energy over the best structure of this formula in the dataset at 9 meV/atom. The energy with MP2020 corrections comes out at -7.61 eV/atom. As for the space group: No. 1.

abc: 9.7751 9.8176 14.4271
angles: 90.02 90.16 119.81
Sites, in units of the cell vectors:
1 O 0.8003 0.7805 0.7620
2 O 0.9845 0.2017 0.7606
3 Li 0.6981 0.7819 0.0549
4 O 0.3387 0.0835 0.1571
5 O 0.6584 0.1854 0.8231
6 O 0.8170 0.3355 0.3224
7 O 0.0998 0.4809 0.8188
8 V 0.5699 0.5675 0.2537
9 O 0.5275 0.3491 0.8202
10 O 0.4866 0.3751 0.1776
11 Li 0.0948 0.7657 0.5609
12 O 0.4872 0.8088 0.6628
13 O 0.3863 0.4675 0.3265
14 O 0.8203 0.4779 0.8208
15 O 0.0834 0.7442 0.8231
16 P 0.9093 0.6818 0.1636
17 O 0.2177 0.0194 0.7626
18 O 0.6166 0.5400 0.6702
19 O 0.3456 0.2588 0.6623
20 O 0.5206 0.1917 0.3260
21 Li 0.0845 0.3104 0.0552
22 O 0.6581 0.9131 0.8257
23 O 0.9177 0.2604 0.1609
24 P 0.7735 0.0901 0.1653
25 P 0.6889 0.9159 0.3429
26 O 0.6642 0.7475 0.3229
27 O 0.7453 0.0868 0.6583
28 O 0.2527 0.9103 0.3242
29 P 0.2294 0.3118 0.3420
30 P 0.6797 0.7698 0.8410
31 Li 0.2375 0.3340 0.5595
32 O 0.7689 0.9712 0.4346
33 Li 0.2189 0.9161 0.0572
34 O 0.9781 0.7793 0.2596
35 V 0.4350 0.4369 0.7495
36 O 0.6807 0.3498 0.4696
37 O 0.5186 0.6196 0.8164
38 O 0.2195 0.2008 0.2586
39 P 0.0844 0.7724 0.3422
40 O 0.7656 0.9910 0.0860
41 O 0.4577 0.0742 0.6685
42 O 0.9216 0.3841 0.6718
43 O 0.0840 0.6155 0.3253
44 P 0.2318 0.9103 0.8417
45 Li 0.6616 0.3306 0.0988
46 O 0.6709 0.4855 0.3214
47 P 0.3310 0.6632 0.1332
48 P 0.7782 0.6934 0.6636
49 P 0.3306 0.6625 0.6295
50 O 0.8908 0.5160 0.1773
51 V 0.9987 0.4323 0.2542
52 O 0.3245 0.5095 0.6710
53 P 0.9167 0.2244 0.6621
54 V 0.0017 0.5663 0.7504
55 O 0.5334 0.9136 0.3279
56 O 0.0231 0.7856 0.4342
57 O 0.3767 0.8957 0.8195
58 O 0.7382 0.7556 0.9330
59 V 0.5640 0.9970 0.7459
60 V 0.4320 0.0006 0.2505
61 O 0.3176 0.6482 0.5262
62 O 0.2573 0.3427 0.8267
63 Li 0.9958 0.9993 0.5037
64 P 0.3043 0.0836 0.6643
65 O 0.9139 0.6544 0.6607
66 P 0.3186 0.2305 0.1625
67 O 0.2304 0.2474 0.0843
68 O 0.1762 0.5228 0.1771
69 O 0.0135 0.2132 0.5852
70 O 0.0885 0.3419 0.3257
71 P 0.6684 0.3336 0.8641
72 O 0.6245 0.1078 0.1768
73 Li 0.6722 0.9057 0.5615
74 O 0.2137 0.2359 0.4337
75 O 0.0080 0.7708 0.0840
76 O 0.2286 0.9742 0.9339
77 O 0.3304 0.6467 0.0308
78 O 0.4726 0.6517 0.1789
79 P 0.0895 0.3198 0.8409
80 O 0.7952 0.8027 0.5864
81 O 0.8041 0.0233 0.2613
82 O 0.7390 0.6578 0.1590
83 O 0.1925 0.9924 0.5872
84 O 0.3400 0.8178 0.1671
85 O 0.0188 0.2588 0.9327
86 O 0.6689 0.3434 0.9675
87 O 0.1862 0.6725 0.6709
88 P 0.6666 0.3344 0.3677

Taking the records one at a time from the top gives formation energy from the elements values of -1.8294 -2.0099 -2.0606 -2.7910 -2.4012 -2.2180 -2.5743 eV/atom.
Taking the records one at a time from the top gives VASP energy values of -476.25 -161.64 -494.29 -251.14 -434.79 -126.97 -619.86 eV per cell.